# MgAg2O4 | the Materials Project | PBE | relaxed
data_MgAg2O4
_chemical_formula_sum 'Mg2 Ag4 O8'
_space_group_name_H-M_alt 'P 1'
_space_group_IT_number 1
_space_group_name_Hall 'P 1'
_cell_length_a 6.316
_cell_length_b 6.316
_cell_length_c 6.316
_cell_angle_alpha 119.75
_cell_angle_beta 119.75
_cell_angle_gamma 90.43
loop_
_atom_site_label
_atom_site_fract_x
_atom_site_fract_y
_atom_site_fract_z
_atom_site_occupancy
Mg1 0.000 0.000 0.000 1
Mg2 0.750 0.250 0.500 1
Ag1 0.875 0.625 0.250 1
Ag2 0.375 0.625 0.750 1
Ag3 0.375 0.625 0.250 1
Ag4 0.375 0.125 0.750 1
O1 0.676 0.485 0.354 1
O2 0.678 0.324 0.809 1
O3 0.515 0.869 0.191 1
O4 0.619 0.928 0.854 1
O5 0.235 0.381 0.309 1
O6 0.072 0.926 0.691 1
O7 0.131 0.322 0.646 1
O8 0.074 0.765 0.146 1
# Symmetry: No. 88
# Formation enthalpy at 0 K, eV per atom: -1.039
# Crystal system: tetragonal
# Calculated volume, Å³/atom: 12.8
# VASP energy, eV for the cell shown: -63.2
# Distance to the lowest polymorph of the same formula, meV/atom: 40